A plane-wave DFT calculation with PBE-GGA was carried out for crystalline Ca6Si3O13 at its relaxed geometry.

Values from the calculation:
The value obtained for the volume is 13.97 Å³ per atom. The value obtained for the total energy is -7.03 eV per atom.

a = 6.8786 Å, b = 7.0438 Å, c = 12.9501 Å
α = 91.00°, β = 98.09°, γ = 98.02°
Space group P-1 (No. 2)
Symmetry-distinct sites (fractional):
Ca (0.0506, 0.0348, 0.3198) x2
Ca (0.0918, 0.4681, 0.7052) x2
Ca (0.1864, 0.8070, 0.1241) x2
Ca (0.3136, 0.8036, 0.5119) x2
Ca (0.3935, 0.4691, 0.2896) x2
Ca (0.4106, 0.8149, 0.8904) x2
Si (0.1141, 0.2856, 0.0978) x2
Si (0.2129, 0.3024, 0.5092) x2
Si (0.3112, 0.2868, 0.8858) x2
O (0.0216, 0.2163, 0.5664) x2
O (0.1082, 0.8158, 0.9466) x2
O (0.1126, 0.4858, 0.1647) x2
O (0.1159, 0.1854, 0.8058) x2
O (0.1361, 0.3687, 0.3897) x2
O (0.2421, 0.3384, 0.9996) x2
O (0.2490, 0.1533, 0.1769) x2
O (0.2533, 0.8251, 0.6966) x2
O (0.2891, 0.7803, 0.3168) x2
O (0.3320, 0.4884, 0.5817) x2
O (0.3451, 0.1326, 0.4870) x2
O (0.3847, 0.4893, 0.8316) x2
O (0.4877, 0.1532, 0.9131) x2